Record 1
## Tm2S3 (PBE)

Data for a relaxed structure of Tm2S3.

It has space group R-3c (No. 167, hexagonal axes), with a = 6.8006 Å, b = 6.8006 Å, c = 18.3354 Å, α = 90.00°, β = 90.00° and γ = 120.00°. The inequivalent atoms are Tm at (0.0000, 0.0000, 0.1505) and S at (0.0000, 0.3024, 0.2500).

The calculation puts the energy with MP2020 corrections at -6.630 eV per atom. The formation energy comes out at -2.36 eV/atom. The calculation puts the uncorrected energy at -0.4651 Ry/atom. The calculated density is 5.89 g/cm3.


Record 2
## Tm2S3 (PBE)

Data for a relaxed structure of Tm2S3.

It has space group Pnma (No. 62), with a = 10.505 Å, b = 3.811 Å, c = 10.389 Å, α = 90.00°, β = 90.00° and γ = 90.00°. The inequivalent atoms are Tm at (0.011, 0.250, 0.187), Tm at (0.192, 0.250, 0.504), S at (0.046, 0.750, 0.374), S at (0.119, 0.250, 0.945) and S at (0.226, 0.750, 0.695).

The calculation puts the energy with MP2020 corrections at -6.617 eV per atom. The formation energy comes out at -2.34 eV/atom. The calculation puts the uncorrected energy at -0.4642 Ry/atom. The calculated density is 6.93 g/cm3.


Q: What is the formula in the second record?
A: Tm2S3


Q: Among the records above, which one has the highest energy with MP2020 corrections?
A: number 2


Q: The lowest uncorrected energy belongs to which entry?
A: number 1